No. 1
24
Lattice="0.000 5.307 5.307 5.307 0.000 5.307 5.307 5.307 0.000" Properties=species:S:1:pos:R:3 comment="V3SiNi2 | the Materials Project database | PBE | relaxed" formation_enthalpy_0k_ev_per_atom=-0.29 final_energy_ev_per_cell=-184.0 pbc="T T T"
V 5.307 5.307 8.517
V 5.307 5.307 2.097
V 5.307 8.517 5.307
V 5.307 2.097 5.307
V 8.517 5.307 5.307
V 2.097 5.307 5.307
V 2.653 2.653 4.750
V 2.653 2.653 0.557
V 2.653 4.750 2.653
V 2.653 0.557 2.653
V 4.750 2.653 2.653
V 0.557 2.653 2.653
Si 6.634 3.980 3.980
Si 3.980 6.634 3.980
Si 3.980 3.980 6.634
Si 6.634 6.634 6.634
Ni 4.389 6.225 6.225
Ni 6.225 4.389 6.225
Ni 6.225 6.225 4.389
Ni 4.389 4.389 4.389
Ni 8.879 7.042 7.042
Ni 7.042 8.879 7.042
Ni 7.042 7.042 8.879
Ni 8.879 8.879 8.879

No. 2
12
Lattice="4.155 0.000 0.000 0.000 6.890 0.000 0.000 0.000 7.180" Properties=species:S:1:pos:R:3 comment="YSiNi | the Materials Project database | PBE | relaxed" formation_enthalpy_0k_ev_per_atom=-0.82 final_energy_ev_per_cell=-80.5 pbc="T T T"
Y 1.039 3.388 1.447
Y 3.116 3.502 5.734
Y 1.039 6.833 2.143
Y 3.116 0.057 5.037
Si 1.039 5.567 6.544
Si 3.116 1.323 0.636
Si 1.039 2.122 4.226
Si 3.116 4.768 2.954
Ni 3.116 5.610 0.584
Ni 1.039 1.280 6.596
Ni 3.116 2.165 3.006
Ni 1.039 4.725 4.174

No. 3
29
Lattice="0.000 5.873 5.873 5.873 0.000 5.873 5.873 5.873 0.000" Properties=species:S:1:pos:R:3 comment="Y6Si7Ni16 | the Materials Project database | PBE | relaxed" formation_enthalpy_0k_ev_per_atom=-0.67 final_energy_ev_per_cell=-188.7 pbc="T T T"
Y 3.404 5.873 5.873
Y 8.342 5.873 5.873
Y 5.873 3.404 5.873
Y 5.873 8.342 5.873
Y 5.873 5.873 3.404
Y 5.873 5.873 8.342
Si 0.000 2.936 2.936
Si 5.873 2.936 2.936
Si 2.936 0.000 2.936
Si 2.936 5.873 2.936
Si 2.936 2.936 0.000
Si 2.936 2.936 5.873
Si 0.000 0.000 0.000
Ni 3.850 3.850 3.850
Ni 7.896 7.896 7.896
Ni 2.023 2.023 3.850
Ni 2.023 3.850 2.023
Ni 9.722 9.722 7.896
Ni 9.722 7.896 9.722
Ni 3.850 2.023 2.023
Ni 7.896 9.722 9.722
Ni 1.417 1.417 1.417
Ni 10.329 10.329 10.329
Ni 4.456 4.456 1.417
Ni 4.456 1.417 4.456
Ni 7.290 7.290 10.329
Ni 7.290 10.329 7.290
Ni 1.417 4.456 4.456
Ni 10.329 7.290 7.290

No. 4
5
Lattice="-0.919 -3.812 -0.659 3.869 -0.906 -0.153 -1.479 1.546 5.120" Properties=species:S:1:pos:R:3 comment="YSi2Ni2 | the Materials Project database | PBE | relaxed" formation_enthalpy_0k_ev_per_atom=-0.86 final_energy_ev_per_cell=-33.2 pbc="T T T"
Y 0.000 0.000 0.000
Si 1.474 -2.566 0.791
Si -0.003 -0.607 3.518
Ni -0.462 -2.313 2.028
Ni 1.932 -0.860 2.281

No. 5
10
Lattice="1.970 -10.523 0.000 1.970 10.523 0.000 0.000 0.000 3.959" Properties=species:S:1:pos:R:3 comment="YSi3Ni | the Materials Project database | PBE | relaxed" formation_enthalpy_0k_ev_per_atom=-0.69 final_energy_ev_per_cell=-63.9 pbc="T T T"
Y 1.970 3.556 1.979
Y 1.970 -3.556 1.979
Si 1.970 1.178 0.000
Si 1.970 -1.178 0.000
Si 1.970 5.939 0.000
Si 1.970 -5.939 0.000
Si 1.970 -9.345 1.979
Si 1.970 9.345 1.979
Ni 1.970 8.208 0.000
Ni 1.970 -8.208 0.000

No. 6
8
Lattice="-2.579 7.457 3.134 1.125 -8.402 0.465 3.578 0.568 1.594" Properties=species:S:1:pos:R:3 comment="YSi2Ni | the Materials Project database | PBE | relaxed" formation_enthalpy_0k_ev_per_atom=-0.84 final_energy_ev_per_cell=-52.9 pbc="T T T"
Y 1.566 1.627 3.277
Y 0.559 -2.005 1.917
Si 0.253 7.247 4.223
Si 1.871 -7.625 0.971
Si 2.884 -4.014 2.328
Si -0.759 3.637 2.866
Ni 0.762 5.068 3.856
Ni 1.362 -5.446 1.338

No. 7
7
Lattice="-2.852 -6.928 4.932 -1.453 -2.573 8.469 -0.565 5.719 -6.888" Properties=species:S:1:pos:R:3 comment="Y3Si2Ni2 | the Materials Project database | PBE | relaxed" formation_enthalpy_0k_ev_per_atom=-0.70 final_energy_ev_per_cell=-46.7 pbc="T T T"
Y -1.787 -0.144 3.212
Y -3.084 -3.639 3.301
Y 0.000 0.000 0.000
Si -2.569 -1.869 5.646
Si -2.302 -1.914 0.868
Ni -1.853 -4.089 5.768
Ni -2.452 -5.412 7.634

No. 8
24
Lattice="4.539 0.000 0.000 0.069 4.557 0.000 0.133 0.304 13.595" Properties=species:S:1:pos:R:3 comment="ZnSi2Ni3 | the Materials Project database | PBE | relaxed" formation_enthalpy_0k_ev_per_atom=-0.44 final_energy_ev_per_cell=-128.4 pbc="T T T"
Zn 1.663 3.822 1.614
Zn 1.700 4.019 6.115
Zn 1.741 4.107 10.638
Zn 3.919 3.104 2.930
Si 3.954 3.202 7.473
Si 4.003 3.284 11.990
Si 3.013 1.596 0.766
Si 3.045 1.717 5.233
Si 3.069 1.789 9.791
Si 0.744 0.749 3.801
Si 0.832 0.861 8.370
Si 0.899 0.964 12.891
Ni 2.949 0.799 2.979
Ni 3.058 0.902 7.497
Ni 3.106 0.999 12.008
Ni 0.680 1.567 1.544
Ni 0.667 1.769 6.175
Ni 0.725 1.858 10.678
Ni 1.652 2.937 3.952
Ni 1.732 3.048 8.410
Ni 1.790 3.149 12.936
Ni 3.946 3.918 0.497
Ni 3.982 4.070 5.216
Ni 4.025 4.105 9.639